## V2PC (PBE-GGA)

Data for a relaxed V2PC crystal.

## Properties
Calculated volume ... 44.59 Å³/f.u.
Crystal system ... hexagonal
E_tot ... -8.888 eV per atom

abc: 3.074 3.074 10.896
angles: 90.00 90.00 120.00
Sites, in units of the cell vectors:
1 V 0.333 0.667 0.402
2 V 0.667 0.333 0.902
3 V 0.667 0.333 0.598
4 V 0.333 0.667 0.098
5 P 0.333 0.667 0.750
6 P 0.667 0.333 0.250
7 C 0.000 0.000 0.000
8 C 0.000 0.000 0.500